Computed, not measured: an optimized crystal structure of LuThFe6 at the GGA-PBE level of DFT.

a b c (Å): 5.1019 5.1019 16.7023
angles (deg): 98.79 98.79 60.00
Closest atoms and distances in Å follow each position.
Atoms (fractional coordinates):
Fe: 0.9584 0.9584 0.3743  7 Fe 2.52-2.56
Fe: 0.5417 0.0422 0.1256  7 Fe 2.52-2.55
Fe: 0.2505 0.2505 0.7516  6 Fe 2.53-2.57
Fe: 0.8335 0.8335 0.5006  6 Fe 2.50-2.55
Fe: 0.4589 0.9585 0.8763  7 Fe 2.50-2.55
Fe: 0.5423 0.0408 0.6239  7 Fe 2.50-2.57
Lu: 0.4284 0.4284 0.2853  12 Fe 2.94-3.01, 3 Lu 3.17
Fe: 0.9585 0.4589 0.8763  7 Fe 2.50-2.55
Lu: 0.0715 0.0715 0.2144  12 Fe 2.94-3.01, 3 Lu 3.17
Fe: 0.7500 0.7500 0.2500  6 Fe 2.52
Th: 0.4988 0.4988 0.4964  12 Fe 2.95-3.25
Fe: 0.4575 0.9584 0.3743  7 Fe 2.52-2.56
Fe: 0.3335 0.3335 0.0006  6 Fe 2.52-2.53
Fe: 0.1663 0.1663 0.4989  6 Fe 2.52-2.53
Lu: 0.9296 0.9296 0.7889  12 Fe 2.93-3.09, 3 Th 3.20
Fe: 0.4589 0.4589 0.8763  7 Fe 2.50-2.55
Fe: 0.9584 0.4575 0.3743  7 Fe 2.52-2.56
Th: 0.0002 0.0002 0.0006  18 Fe 2.95-3.28
Fe: 0.5417 0.5417 0.1256  7 Fe 2.52-2.55
Fe: 0.6665 0.6665 0.9995  6 Fe 2.50-2.54
Fe: 0.0422 0.5417 0.1256  7 Fe 2.52-2.55
Fe: 0.0408 0.0408 0.6239  7 Fe 2.50-2.57
Th: 0.5710 0.5710 0.7131  12 Fe 2.94-3.06, 3 Lu 3.20
Fe: 0.0408 0.5423 0.6239  7 Fe 2.50-2.57

Computed properties:
ΔH_f (0 K), meV per atom: -113
Total moment, μB per formula unit: 11.22
Final energy, eV/f.u.: -63.66